No. 1
Sm2Co5Cu5 | PBE | optimized geometry

Unit cell a=4.057 b=5.032 c=8.563 alpha=90.00 beta=90.00 gamma=90.00
Fractional coordinates of all 12 atoms:
Sm  0.000  0.000  0.000
Sm  0.000  0.500  0.500
Co  0.000  0.000  0.336
Co  0.000  0.000  0.664
Co  0.000  0.500  0.153
Co  0.000  0.500  0.847
Co  0.500  0.500  0.000
Cu  0.500  0.000  0.500
Cu  0.500  0.250  0.248
Cu  0.500  0.250  0.752
Cu  0.500  0.750  0.248
Cu  0.500  0.750  0.752

Formation energy, meV/atom: -42

=====

No. 2
Ca3SiBr2 | PBE | optimized geometry

Unit cell a=4.076 b=4.076 c=12.204 alpha=90.00 beta=90.00 gamma=120.00
Fractional coordinates of all 6 atoms:
Ca  0.000  0.000  0.000
Ca  0.000  0.000  0.354
Ca  0.000  0.000  0.646
Si  0.667  0.333  0.500
Br  0.333  0.667  0.172
Br  0.333  0.667  0.828

Formation energy, meV/atom: -1178
ΔE to the lowest computed polymorph, meV per atom: 227